No. 1
# Na7La2Al2SiP5O24 | Materials Project | PBE | optimized geometry
# Energy with MP2020 corrections, eV/atom: -7.27
data_Na7La2Al2SiP5O24
_symmetry_space_group_name_H-M 'P 1'
_symmetry_Int_Tables_number 1
_symmetry_space_group_name_Hall 'P 1'
_cell_length_a 9.153
_cell_length_b 9.169
_cell_length_c 22.593
_cell_angle_alpha 90.18
_cell_angle_beta 90.08
_cell_angle_gamma 119.82
loop_
_atom_site_label
_atom_site_type_symbol
_atom_site_fract_x
_atom_site_fract_y
_atom_site_fract_z
Na1 Na 0.000 0.000 0.000
Na2 Na 0.000 0.637 0.257
Na3 Na 0.022 0.656 0.744
Na4 Na 0.050 0.975 0.338
Na5 Na 0.051 0.350 0.838
Na6 Na 0.305 0.606 0.342
Na7 Na 0.343 0.300 0.921
Na8 Na 0.346 0.311 0.422
Na9 Na 0.349 0.956 0.178
Na10 Na 0.355 0.669 0.667
Na11 Na 0.371 0.646 0.994
Na12 Na 0.390 0.018 0.499
Na13 Na 0.644 0.649 0.501
Na14 Na 0.669 0.283 0.000
Na15 Na 0.680 0.605 0.833
Na16 Na 0.692 0.986 0.086
Na17 Na 0.693 0.986 0.584
Na18 Na 0.701 0.679 0.177
Na19 Na 0.704 0.320 0.669
Na20 Na 0.982 0.294 0.171
Na21 Na 0.991 0.955 0.669
La1 La 0.015 0.646 0.095
La2 La 0.027 0.657 0.895
La3 La 0.338 0.315 0.568
La4 La 0.339 0.308 0.080
La5 La 0.351 0.303 0.767
La6 La 0.358 0.310 0.278
Al1 Al 0.006 0.633 0.403
Al2 Al 0.007 0.640 0.597
Al3 Al 0.678 0.976 0.734
Al4 Al 0.680 0.981 0.934
Al5 Al 0.686 0.985 0.243
Al6 Al 0.690 0.993 0.437
Si1 Si 0.005 0.318 0.998
Si2 Si 0.018 0.993 0.176
Si3 Si 0.673 0.636 0.668
P1 P 0.004 0.914 0.497
P2 P 0.022 0.313 0.672
P3 P 0.298 0.656 0.498
P4 P 0.345 0.964 0.003
P5 P 0.345 0.985 0.664
P6 P 0.362 0.641 0.177
P7 P 0.394 0.962 0.344
P8 P 0.412 0.705 0.833
P9 P 0.663 0.299 0.171
P10 P 0.675 0.246 0.834
P11 P 0.695 0.713 0.344
P12 P 0.696 0.655 0.997
P13 P 0.741 0.355 0.499
P14 P 0.950 0.983 0.834
P15 P 0.951 0.271 0.342
O1 O 0.016 0.474 0.655
O2 O 0.021 0.823 0.442
O3 O 0.045 0.453 0.944
O4 O 0.087 0.099 0.113
O5 O 0.101 0.255 0.623
O6 O 0.127 0.142 0.839
O7 O 0.132 0.290 0.341
O8 O 0.136 0.361 0.728
O9 O 0.159 0.087 0.228
O10 O 0.169 0.089 0.499
O11 O 0.170 0.294 0.001
O12 O 0.191 0.808 0.652
O13 O 0.194 0.641 0.442
O14 O 0.201 0.660 0.554
O15 O 0.204 0.870 0.957
O16 O 0.206 0.662 0.172
O17 O 0.213 0.800 0.342
O18 O 0.230 0.675 0.827
O19 O 0.284 0.872 0.063
O20 O 0.289 0.059 0.715
O21 O 0.327 0.514 0.227
O22 O 0.330 0.504 0.498
O23 O 0.361 0.114 0.346
O24 O 0.378 0.145 0.004
O25 O 0.394 0.104 0.610
O26 O 0.396 0.527 0.838
O27 O 0.397 0.576 0.118
O28 O 0.478 0.819 0.499
O29 O 0.488 0.958 0.287
O30 O 0.500 0.801 0.890
O31 O 0.500 0.977 0.399
O32 O 0.502 0.969 0.679
O33 O 0.509 0.964 0.988
O34 O 0.510 0.795 0.777
O35 O 0.520 0.499 0.002
O36 O 0.521 0.812 0.189
O37 O 0.525 0.280 0.839
O38 O 0.530 0.540 0.344
O39 O 0.535 0.555 0.613
O40 O 0.560 0.338 0.501
O41 O 0.568 0.348 0.216
O42 O 0.574 0.268 0.110
O43 O 0.598 0.505 0.725
O44 O 0.658 0.133 0.187
O45 O 0.664 0.147 0.778
O46 O 0.679 0.813 0.988
O47 O 0.681 0.157 0.891
O48 O 0.681 0.807 0.399
O49 O 0.696 0.825 0.679
O50 O 0.710 0.171 0.494
O51 O 0.711 0.816 0.287
O52 O 0.786 0.623 0.945
O53 O 0.799 0.689 0.055
O54 O 0.833 0.470 0.446
O55 O 0.834 0.136 0.989
O56 O 0.836 0.439 0.557
O57 O 0.838 0.423 0.829
O58 O 0.841 0.164 0.681
O59 O 0.841 0.991 0.188
O60 O 0.845 0.446 0.171
O61 O 0.846 0.939 0.495
O62 O 0.852 0.686 0.345
O63 O 0.854 0.975 0.891
O64 O 0.856 0.188 0.284
O65 O 0.857 0.650 0.653
O66 O 0.859 0.157 0.394
O67 O 0.862 0.996 0.777
O68 O 0.962 0.820 0.827
O69 O 0.972 0.393 0.060
O70 O 0.981 0.456 0.346
O71 O 0.987 0.809 0.553
O72 O 0.989 0.803 0.172

No. 2
# Na6La4Al4Si3S9O48 | Materials Project | PBE | optimized geometry
# Energy with MP2020 corrections, eV/atom: -7.11
data_Na6La4Al4Si3S9O48
_symmetry_space_group_name_H-M 'P 1'
_symmetry_Int_Tables_number 1
_symmetry_space_group_name_Hall 'P 1'
_cell_length_a 9.059
_cell_length_b 15.533
_cell_length_c 23.510
_cell_angle_alpha 90.68
_cell_angle_beta 90.37
_cell_angle_gamma 90.05
loop_
_atom_site_label
_atom_site_type_symbol
_atom_site_fract_x
_atom_site_fract_y
_atom_site_fract_z
Na1 Na 0.000 0.000 0.000
Na2 Na 0.001 0.007 0.494
Na3 Na 0.011 0.346 0.151
Na4 Na 0.012 0.666 0.338
Na5 Na 0.014 0.349 0.658
Na6 Na 0.139 0.835 0.416
Na7 Na 0.146 0.178 0.069
Na8 Na 0.361 0.675 0.577
Na9 Na 0.370 0.337 0.902
Na10 Na 0.487 0.178 0.828
Na11 Na 0.494 0.847 0.654
Na12 Na 0.502 0.505 0.987
Na13 Na 0.508 0.498 0.504
Na14 Na 0.511 0.848 0.149
Na15 Na 0.523 0.172 0.335
Na16 Na 0.653 0.680 0.073
Na17 Na 0.849 0.181 0.579
Na18 Na 0.983 0.669 0.833
La1 La 0.009 0.013 0.856
La2 La 0.011 0.671 0.672
La3 La 0.013 0.327 0.807
La4 La 0.494 0.173 0.171
La5 La 0.497 0.200 0.678
La6 La 0.499 0.512 0.357
La7 La 0.500 0.826 0.311
La8 La 0.516 0.843 0.807
La9 La 0.518 0.179 0.483
La10 La 0.986 0.679 0.981
La11 La 0.989 0.342 0.307
La12 La 0.999 0.685 0.171
Al1 Al 0.010 0.994 0.639
Al2 Al 0.017 0.680 0.483
Al3 Al 0.020 0.340 0.008
Al4 Al 0.490 0.835 0.515
Al5 Al 0.493 0.494 0.138
Al6 Al 0.497 0.188 0.979
Al7 Al 0.508 0.517 0.839
Al8 Al 0.516 0.486 0.652
Al9 Al 0.525 0.829 0.002
Al10 Al 0.985 0.330 0.506
Al11 Al 0.992 0.001 0.146
Al12 Al 0.999 0.017 0.346
Si1 Si 0.160 0.827 0.574
Si2 Si 0.167 0.194 0.922
Si3 Si 0.340 0.695 0.422
Si4 Si 0.344 0.327 0.073
Si5 Si 0.365 0.374 0.751
Si6 Si 0.638 0.680 0.909
Si7 Si 0.674 0.340 0.576
Si8 Si 0.833 0.840 0.077
Si9 Si 0.863 0.184 0.410
S1 S 0.136 0.137 0.241
S2 S 0.136 0.876 0.246
S3 S 0.152 0.519 0.569
S4 S 0.155 0.483 0.915
S5 S 0.176 0.171 0.576
S6 S 0.221 0.506 0.235
S7 S 0.225 0.839 0.917
S8 S 0.282 0.338 0.417
S9 S 0.285 0.005 0.735
S10 S 0.328 0.670 0.078
S11 S 0.343 0.985 0.410
S12 S 0.347 0.017 0.073
S13 S 0.369 0.641 0.740
S14 S 0.634 0.994 0.923
S15 S 0.644 0.367 0.237
S16 S 0.644 0.646 0.235
S17 S 0.665 0.008 0.579
S18 S 0.702 0.679 0.569
S19 S 0.710 0.336 0.919
S20 S 0.736 0.007 0.246
S21 S 0.775 0.509 0.745
S22 S 0.805 0.838 0.416
S23 S 0.808 0.176 0.073
S24 S 0.837 0.509 0.080
S25 S 0.861 0.143 0.734
S26 S 0.861 0.867 0.737
S27 S 0.873 0.494 0.422
O1 O 0.069 0.224 0.240
O2 O 0.069 0.788 0.247
O3 O 0.070 0.097 0.587
O4 O 0.075 0.776 0.521
O5 O 0.081 0.920 0.587
O6 O 0.082 0.545 0.624
O7 O 0.085 0.250 0.567
O8 O 0.086 0.248 0.972
O9 O 0.087 0.920 0.300
O10 O 0.088 0.092 0.187
O11 O 0.088 0.099 0.923
O12 O 0.090 0.091 0.293
O13 O 0.090 0.920 0.193
O14 O 0.092 0.448 0.861
O15 O 0.101 0.433 0.554
O16 O 0.103 0.573 0.921
O17 O 0.107 0.430 0.965
O18 O 0.113 0.587 0.526
O19 O 0.124 0.583 0.234
O20 O 0.128 0.915 0.924
O21 O 0.131 0.426 0.231
O22 O 0.134 0.760 0.917
O23 O 0.152 0.244 0.862
O24 O 0.156 0.761 0.628
O25 O 0.160 0.685 0.429
O26 O 0.164 0.341 0.062
O27 O 0.176 0.984 0.402
O28 O 0.177 0.338 0.465
O29 O 0.179 0.005 0.686
O30 O 0.181 0.019 0.083
O31 O 0.186 0.364 0.745
O32 O 0.206 0.007 0.790
O33 O 0.206 0.646 0.743
O34 O 0.207 0.341 0.361
O35 O 0.236 0.648 0.029
O36 O 0.238 0.687 0.130
O37 O 0.266 0.148 0.527
O38 O 0.266 0.187 0.628
O39 O 0.298 0.869 0.244
O40 O 0.299 0.142 0.243
O41 O 0.300 0.509 0.290
O42 O 0.300 0.842 0.862
O43 O 0.316 0.522 0.575
O44 O 0.318 0.482 0.914
O45 O 0.326 0.507 0.186
O46 O 0.333 0.839 0.966
O47 O 0.340 0.839 0.564
O48 O 0.345 0.262 0.129
O49 O 0.348 0.186 0.929
O50 O 0.351 0.746 0.360
O51 O 0.372 0.924 0.731
O52 O 0.374 0.259 0.416
O53 O 0.378 0.083 0.029
O54 O 0.378 0.932 0.460
O55 O 0.380 0.415 0.423
O56 O 0.382 0.080 0.733
O57 O 0.394 0.075 0.416
O58 O 0.398 0.930 0.059
O59 O 0.410 0.949 0.358
O60 O 0.414 0.417 0.691
O61 O 0.417 0.596 0.686
O62 O 0.417 0.597 0.792
O63 O 0.420 0.043 0.128
O64 O 0.420 0.602 0.421
O65 O 0.420 0.748 0.069
O66 O 0.421 0.425 0.810
O67 O 0.423 0.420 0.087
O68 O 0.423 0.754 0.470
O69 O 0.432 0.596 0.090
O70 O 0.432 0.729 0.739
O71 O 0.433 0.275 0.023
O72 O 0.442 0.277 0.755
O73 O 0.555 0.586 0.897
O74 O 0.574 0.081 0.936
O75 O 0.574 0.733 0.231
O76 O 0.579 0.968 0.866
O77 O 0.581 0.279 0.237
O78 O 0.581 0.303 0.521
O79 O 0.581 0.730 0.968
O80 O 0.585 0.417 0.188
O81 O 0.586 0.046 0.628
O82 O 0.590 0.930 0.966
O83 O 0.596 0.433 0.593
O84 O 0.596 0.594 0.185
O85 O 0.600 0.605 0.574
O86 O 0.601 0.922 0.564
O87 O 0.603 0.608 0.290
O88 O 0.607 0.407 0.292
O89 O 0.607 0.757 0.561
O90 O 0.609 0.411 0.915
O91 O 0.612 0.744 0.855
O92 O 0.614 0.256 0.928
O93 O 0.642 0.085 0.246
O94 O 0.644 0.928 0.244
O95 O 0.656 0.066 0.529
O96 O 0.656 0.842 0.061
O97 O 0.666 0.268 0.627
O98 O 0.675 0.503 0.092
O99 O 0.683 0.512 0.692
O100 O 0.684 0.168 0.413
O101 O 0.684 0.512 0.798
O102 O 0.698 0.862 0.730
O103 O 0.699 0.148 0.734
O104 O 0.703 0.160 0.025
O105 O 0.704 0.855 0.463
O106 O 0.708 0.498 0.422
O107 O 0.725 0.822 0.361
O108 O 0.727 0.191 0.127
O109 O 0.780 0.694 0.624
O110 O 0.784 0.320 0.864
O111 O 0.798 0.997 0.922
O112 O 0.807 0.363 0.230
O113 O 0.807 0.655 0.237
O114 O 0.810 0.665 0.523
O115 O 0.817 0.349 0.967
O116 O 0.817 0.665 0.912
O117 O 0.828 0.001 0.591
O118 O 0.828 0.007 0.299
O119 O 0.828 0.008 0.194
O120 O 0.838 0.769 0.129
O121 O 0.847 0.568 0.031
O122 O 0.851 0.343 0.561
O123 O 0.861 0.429 0.743
O124 O 0.871 0.586 0.746
O125 O 0.890 0.243 0.354
O126 O 0.900 0.424 0.066
O127 O 0.900 0.759 0.425
O128 O 0.900 0.906 0.792
O129 O 0.904 0.253 0.064
O130 O 0.905 0.106 0.789
O131 O 0.908 0.913 0.407
O132 O 0.910 0.100 0.081
O133 O 0.913 0.090 0.684
O134 O 0.913 0.931 0.096
O135 O 0.917 0.546 0.129
O136 O 0.918 0.430 0.465
O137 O 0.919 0.916 0.688
O138 O 0.923 0.235 0.468
O139 O 0.924 0.779 0.737
O140 O 0.926 0.468 0.365
O141 O 0.926 0.801 0.024
O142 O 0.928 0.230 0.729
O143 O 0.933 0.581 0.434
O144 O 0.947 0.090 0.401